# 1
Material: MgCr2Fe2O8
Method: DFT, PBE with a Hubbard U
State: optimized geometry Values from VASP.

```
&SYSTEM
  ibrav = 0, nat = 13, ntyp = 4
/
ATOMIC_SPECIES
Fe 55.84 Fe.upf
O 16.00 O.upf
Mg 24.30 Mg.upf
Cr 52.00 Cr.upf
CELL_PARAMETERS angstrom
2.807 4.934 0.000
-2.786 4.920 0.000
0.000 0.000 6.357
ATOMIC_POSITIONS angstrom
Fe -0.009 0.819 0.156
Fe -0.009 0.819 3.023
O 0.029 6.735 3.476
O -0.003 2.798 2.948
O 0.029 6.735 6.059
O 1.461 4.863 1.589
O 1.605 4.874 4.768
O -0.003 2.798 0.231
O -1.452 4.865 1.589
O -1.582 4.898 4.768
Mg 0.049 8.248 4.768
Cr 0.005 3.866 1.589
Cr 0.018 5.634 4.768
```

Space-group type   Pm (6)
Excess energy over the best structure of this formula in the dataset   0.057 eV/atom
Energy of formation   -161.2 kJ per mole of atoms
VASP energy   -6.549 eV/atom

---

# 2
Material: Li9Mn2Co5O16
Method: DFT, PBE with a Hubbard U
State: optimized geometry Values from VASP.

```
&SYSTEM
  ibrav = 0, nat = 32, ntyp = 4
/
ATOMIC_SPECIES
Li 6.94 Li.upf
Co 58.93 Co.upf
O 16.00 O.upf
Mn 54.94 Mn.upf
CELL_PARAMETERS angstrom
-1.636 -4.264 -2.310
4.255 -2.973 2.590
-7.175 1.050 6.979
ATOMIC_POSITIONS angstrom
Li -4.242 -1.368 5.667
Li 2.275 -4.308 0.788
Li -2.019 -2.880 6.977
Li -0.371 -4.800 1.593
Li -5.077 -0.416 8.240
Li -2.496 -3.319 0.302
Li -1.434 -0.959 4.730
Li 0.684 -2.442 6.034
Li 0.272 -2.935 -0.462
Co -3.297 -2.354 2.994
Co -6.070 -2.808 3.868
Co -0.548 -1.891 2.098
Co 1.534 -3.317 3.388
Co -1.176 -3.856 4.298
O -5.688 -0.011 6.332
O -4.610 -3.981 3.342
O -4.834 -1.296 3.628
O -5.364 -3.091 5.677
O -1.075 -4.513 -0.501
O -3.340 -4.651 6.987
O -3.448 -1.565 7.694
O -2.097 -0.771 2.742
O -2.449 -5.431 4.624
O -0.001 -2.200 4.051
O -1.159 -1.522 0.127
O 0.765 -3.125 1.520
O 1.130 -6.157 0.904
O 0.282 -4.952 3.667
O -2.707 -2.776 4.950
O -1.919 -3.517 2.398
Mn -3.977 -4.284 5.153
Mn -7.155 1.033 6.953
```

Space-group type   P1 (1)
Excess energy over the best structure of this formula in the dataset   0.015 eV/atom
Energy of formation   -178.5 kJ per mole of atoms
VASP energy   -5.840 eV/atom

---

# 3
Material: Li4Co3Ni3Te2O16
Method: DFT, PBE with a Hubbard U
State: optimized geometry Values from VASP.

```
&SYSTEM
  ibrav = 0, nat = 28, ntyp = 5
/
ATOMIC_SPECIES
Li 6.94 Li.upf
O 16.00 O.upf
Te 127.60 Te.upf
Co 58.93 Co.upf
Ni 58.69 Ni.upf
CELL_PARAMETERS angstrom
2.919 5.120 0.000
-2.919 5.120 0.000
0.000 0.276 9.586
ATOMIC_POSITIONS angstrom
Li 0.000 3.559 5.611
Li 0.000 0.013 0.119
Li 0.000 0.196 4.919
Li 0.000 6.783 0.901
O 1.331 7.727 6.227
O 0.000 5.449 6.159
O -1.448 4.503 8.734
O 1.282 2.615 1.486
O 0.000 0.164 1.938
O 0.000 4.945 1.411
O -1.331 7.727 6.227
O 0.000 8.685 3.958
O 0.000 6.946 8.460
O 1.461 6.163 3.885
O 0.000 0.296 6.772
O 0.000 3.440 3.679
O -1.282 2.615 1.486
O 0.000 2.003 8.731
O 1.448 4.503 8.734
O -1.461 6.163 3.885
Te 0.000 3.406 0.173
Te 0.000 6.999 4.936
Co 1.428 6.204 7.553
Co -1.428 6.204 7.553
Co 0.000 1.855 2.731
Ni 1.430 4.361 2.764
Ni 0.000 8.705 7.543
Ni -1.430 4.361 2.764
```

Space-group type   Cm (8)
Energy of formation   -151.9 kJ per mole of atoms
VASP energy   -5.440 eV/atom

---

# 4
Material: Li9Co7O16
Method: DFT, PBE with a Hubbard U
State: optimized geometry Values from VASP.

```
&SYSTEM
  ibrav = 0, nat = 32, ntyp = 3
/
ATOMIC_SPECIES
Li 6.94 Li.upf
O 16.00 O.upf
Co 58.93 Co.upf
CELL_PARAMETERS angstrom
5.017 0.000 0.000
0.811 5.018 0.000
0.779 1.724 10.932
ATOMIC_POSITIONS angstrom
Li 2.069 4.348 1.979
Li 2.051 3.564 4.767
Li 4.538 2.394 8.953
Li 4.549 3.993 3.400
Li 2.914 2.509 0.000
Li 2.015 1.922 10.293
Li 4.592 4.820 0.639
Li 2.058 2.748 7.532
Li 4.556 3.178 6.165
O 3.686 1.477 7.192
O 1.303 2.724 2.994
O 5.494 3.206 10.619
O 1.113 3.536 0.313
O 4.570 5.692 9.748
O 2.819 3.693 9.154
O 2.921 4.405 6.562
O 2.090 6.068 8.527
O 5.421 4.774 5.143
O 2.037 1.049 1.184
O 1.186 1.968 5.788
O 5.304 4.018 7.938
O 3.788 3.049 1.778
O 3.685 2.337 4.370
O 4.517 0.674 2.405
O 2.921 5.264 3.740
Co 0.400 1.284 4.073
Co 2.907 1.703 2.669
Co 6.205 4.647 9.574
Co 6.206 5.457 6.859
Co 0.402 2.095 1.358
Co 2.898 0.862 5.466
Co 3.699 5.039 8.263
```

Space-group type   P-1 (2)
Excess energy over the best structure of this formula in the dataset   0.035 eV/atom
Energy of formation   -165.9 kJ per mole of atoms
VASP energy   -5.584 eV/atom